An optimized crystal structure of Mn2NbFeO6, computed with PBE with a Hubbard U.

Geometry as POSCAR:
```
Mn2NbFeO6
1.0
4.940 -2.673 0.000
4.940 2.673 0.000
3.495 0.000 4.398
Mn Fe O Nb
2 1 6 1
Direct
0.505 0.505 0.505
0.998 0.998 0.998
0.280 0.280 0.280
0.921 0.562 0.155
0.155 0.921 0.562
0.424 0.660 0.055
0.562 0.155 0.921
0.660 0.055 0.424
0.055 0.424 0.660
0.781 0.781 0.781
```

Calculated values
DFT total energy	-7.972	eV/atom
ρ	5.07	g cm⁻³

An optimized crystal structure of Mn3Nb8FeO24, computed with PBE with a Hubbard U.

Geometry as POSCAR:
```
Mn3Nb8FeO24
1.0
5.886 0.000 0.000
0.000 5.144 0.000
0.000 0.039 14.592
O Nb Mn Fe
24 8 3 1
Direct
0.372 0.161 0.255
0.118 0.346 0.419
0.629 0.339 0.745
0.380 0.159 0.919
0.102 0.686 0.903
0.400 0.810 0.401
0.898 0.187 0.902
0.102 0.314 0.097
0.372 0.839 0.745
0.898 0.813 0.098
0.629 0.661 0.255
0.118 0.654 0.581
0.400 0.190 0.599
0.380 0.841 0.081
0.882 0.154 0.581
0.601 0.310 0.401
0.601 0.690 0.599
0.882 0.846 0.419
0.128 0.662 0.244
0.128 0.338 0.756
0.616 0.652 0.919
0.872 0.838 0.756
0.616 0.348 0.081
0.872 0.162 0.244
0.181 0.007 0.839
0.681 0.992 0.338
0.181 0.993 0.161
0.318 0.508 0.663
0.681 0.008 0.662
0.819 0.491 0.162
0.819 0.509 0.838
0.318 0.492 0.337
0.176 0.000 0.500
0.824 0.500 0.500
0.673 0.000 0.000
0.331 0.500 0.000
```

Calculated values
DFT total energy	-8.721	eV/atom
ρ	5.07	g cm⁻³

An optimized crystal structure of MnNb8Fe3O24, computed with PBE with a Hubbard U.

Geometry as POSCAR:
```
MnNb8Fe3O24
1.0
5.880 0.000 0.000
0.000 5.133 0.000
0.000 0.030 14.530
O Fe Nb Mn
24 3 8 1
Direct
0.873 0.832 0.756
0.627 0.667 0.255
0.381 0.159 0.920
0.121 0.655 0.581
0.103 0.679 0.903
0.619 0.346 0.081
0.372 0.833 0.746
0.381 0.841 0.080
0.121 0.345 0.419
0.398 0.817 0.403
0.103 0.321 0.097
0.127 0.331 0.756
0.894 0.821 0.097
0.601 0.316 0.401
0.372 0.167 0.254
0.884 0.150 0.581
0.873 0.168 0.244
0.894 0.179 0.903
0.601 0.684 0.599
0.127 0.669 0.244
0.884 0.850 0.419
0.398 0.183 0.597
0.619 0.654 0.919
0.627 0.333 0.745
0.666 0.000 0.000
0.337 0.500 0.000
0.170 0.000 0.500
0.319 0.497 0.338
0.819 0.503 0.839
0.181 0.002 0.840
0.681 0.996 0.338
0.319 0.503 0.662
0.681 0.004 0.662
0.819 0.497 0.161
0.181 0.998 0.160
0.827 0.500 0.500
```

Calculated values
DFT total energy	-8.584	eV/atom
ρ	5.11	g cm⁻³

An optimized crystal structure of MnFeNiO4, computed with PBE with a Hubbard U.

Geometry as POSCAR:
```
MnFeNiO4
1.0
-3.032 3.071 4.126
3.032 -3.071 4.126
3.032 3.071 -4.126
O Mn Ni Fe
8 2 2 2
Direct
0.749 0.259 0.009
0.253 0.265 0.989
0.776 0.265 0.511
0.749 0.740 0.491
0.224 0.735 0.489
0.251 0.260 0.509
0.251 0.741 0.991
0.747 0.735 0.011
0.000 0.500 0.500
0.500 0.500 0.000
0.000 0.500 0.000
0.000 0.000 0.500
0.382 0.132 0.250
0.618 0.868 0.750
```

Calculated values
DFT total energy	-6.485	eV/atom
ρ	5.04	g cm⁻³

An optimized crystal structure of Mn3Fe5O12, computed with PBE with a Hubbard U.

Geometry as POSCAR:
```
Mn3Fe5O12
1.0
8.246 0.000 0.000
-2.687 7.886 0.000
-2.745 -3.881 6.760
O Mn Fe
24 6 10
Direct
0.232 0.453 0.501
0.952 0.737 0.946
0.051 0.048 0.269
0.734 0.935 0.945
0.962 0.969 0.744
0.783 0.735 0.227
0.785 0.224 0.267
0.009 0.460 0.736
0.744 0.246 0.788
0.007 0.557 0.282
0.764 0.530 0.496
0.547 0.497 0.782
0.271 0.046 0.052
0.714 0.004 0.447
0.262 0.758 0.212
0.495 0.231 0.457
0.537 0.258 0.997
0.490 0.773 0.548
0.216 0.262 0.755
0.459 0.740 0.003
0.224 0.774 0.725
0.280 0.000 0.546
0.043 0.265 0.066
0.441 0.497 0.208
0.969 0.221 0.752
0.783 0.250 0.036
0.528 0.281 0.253
0.502 0.502 0.003
0.502 0.998 0.500
0.000 0.004 0.004
0.998 0.497 0.495
0.752 0.466 0.714
0.211 0.749 0.959
0.288 0.250 0.538
0.748 0.957 0.210
0.042 0.790 0.251
0.713 0.751 0.463
0.249 0.037 0.788
0.251 0.542 0.290
0.461 0.709 0.748
```

Calculated values
E above lowest polymorph	0.0000	eV/atom
ρ	4.81	g cm⁻³

An optimized crystal structure of MnFe2O4, computed with PBE with a Hubbard U.

Geometry as POSCAR:
```
MnFe2O4
1.0
5.270 -0.039 3.086
1.741 4.933 3.050
0.033 -0.022 6.113
Mn O Fe
2 8 4
Direct
0.877 0.871 0.878
0.123 0.129 0.122
0.267 0.269 0.707
0.739 0.287 0.752
0.261 0.714 0.248
0.266 0.260 0.263
0.707 0.273 0.255
0.293 0.727 0.745
0.734 0.740 0.737
0.733 0.731 0.294
0.500 0.500 0.500
0.000 0.500 0.500
0.500 0.500 0.000
0.500 0.000 0.500
```

Calculated values
E above lowest polymorph	0.1562	eV/atom
ρ	4.81	g cm⁻³

An optimized crystal structure of MnFe2O4, computed with PBE with a Hubbard U.

Geometry as POSCAR:
```
MnFe2O4
1.0
5.282 0.000 3.049
1.761 4.980 3.049
-1.761 -4.980 3.049
O Mn Fe
8 2 4
Direct
0.262 0.524 0.262
0.738 0.024 0.286
0.262 0.976 0.714
0.738 0.024 0.738
0.262 0.976 0.262
0.738 0.476 0.738
0.286 0.476 0.738
0.714 0.524 0.262
0.125 0.250 0.125
0.875 0.750 0.875
0.500 0.000 0.500
0.500 0.500 0.000
0.000 0.000 0.500
0.500 0.500 0.500
```

Calculated values
E above lowest polymorph	0.0000	eV/atom
ρ	4.77	g cm⁻³